# BaSrLaBiO6 (PBE, relaxed)
data_BaSrLaBiO6
_cell_length_a 8.885
_cell_length_b 8.885
_cell_length_c 8.885
_cell_angle_alpha 90.00
_cell_angle_beta 90.00
_cell_angle_gamma 90.00
_space_group_name_H-M_alt 'F -4 3 m'
_space_group_IT_number 216
_space_group_name_Hall 'F -4 2 3'
loop_
_atom_site_label
_atom_site_type_symbol
_atom_site_fract_x
_atom_site_fract_y
_atom_site_fract_z
_atom_site_occupancy
Ba1 Ba 0.000 0.000 0.000 1
Sr1 Sr 0.000 0.000 0.500 1
La1 La 0.250 0.250 0.250 1
Bi1 Bi 0.250 0.250 0.750 1
O1 O 0.011 0.250 0.750 1
# Total magnetic moment (μB/f.u.): 0.0
# V (A^3/atom): 17.5
# E above lowest polymorph (kJ/mol of atoms): 7.5

# Er3AlNi8 (PBE, relaxed)
data_Er3AlNi8
_cell_length_a 5.0416
_cell_length_b 5.0416
_cell_length_c 15.9353
_cell_angle_alpha 90.00
_cell_angle_beta 90.00
_cell_angle_gamma 120.00
_space_group_name_H-M_alt 'P 63/m m c'
_space_group_IT_number 194
_space_group_name_Hall '-P 6c 2c'
loop_
_atom_site_label
_atom_site_type_symbol
_atom_site_fract_x
_atom_site_fract_y
_atom_site_fract_z
_atom_site_occupancy
Er1 Er 0.3333 0.6667 0.0441 1
Er2 Er 0.3333 0.6667 0.2500 1
Al1 Al 0.0000 0.0000 0.0000 1
Ni1 Ni 0.0000 0.0000 0.2500 1
Ni2 Ni 0.1688 0.3376 0.6255 1
Ni3 Ni 0.3333 0.6667 0.7500 1
# Total magnetic moment (μB/f.u.): 0.0
# V (A^3/atom): 14.6
# Calculated total energy (eV per cell): -138.788

# FeSn2C6N6 (PBE, relaxed)
data_FeSn2C6N6
_cell_length_a 7.2441
_cell_length_b 7.2441
_cell_length_c 5.5648
_cell_angle_alpha 90.00
_cell_angle_beta 90.00
_cell_angle_gamma 120.00
_space_group_name_H-M_alt 'P -3'
_space_group_IT_number 147
loop_
_space_group_symop_operation_xyz
'x,y,z'
'-x,-y,-z'
'-y,x-y,z'
'y,-x+y,-z'
'-x+y,-x,z'
'x-y,x,-z'
loop_
_atom_site_label
_atom_site_type_symbol
_atom_site_fract_x
_atom_site_fract_y
_atom_site_fract_z
_atom_site_occupancy
Fe1 Fe 0.0000 0.0000 0.0000 1
Sn1 Sn 0.3333 0.6667 0.5563 1
C1 C 0.0801 0.2421 0.1909 1
N1 N 0.1273 0.3972 0.3046 1
# Total magnetic moment (μB/f.u.): 0.0
# V (A^3/atom): 16.9
# Calculated total energy (eV per cell): -118.455

# SmGe3 (PBE, relaxed)
data_SmGe3
_cell_length_a 6.1236
_cell_length_b 6.1236
_cell_length_c 5.2161
_cell_angle_alpha 90.00
_cell_angle_beta 90.00
_cell_angle_gamma 120.00
_space_group_name_H-M_alt 'P 63/m m c'
_space_group_IT_number 194
_space_group_name_Hall '-P 6c 2c'
loop_
_atom_site_label
_atom_site_type_symbol
_atom_site_fract_x
_atom_site_fract_y
_atom_site_fract_z
_atom_site_occupancy
Sm1 Sm 0.3333 0.6667 0.2500 1
Ge1 Ge 0.1483 0.2966 0.7500 1
# Total magnetic moment (μB/f.u.): 0.0
# V (A^3/atom): 21.2
# Calculated total energy (eV per cell): -40.337

# Li2GaPd (PBE, relaxed)
data_Li2GaPd
_cell_length_a 6.108
_cell_length_b 6.108
_cell_length_c 6.108
_cell_angle_alpha 90.00
_cell_angle_beta 90.00
_cell_angle_gamma 90.00
_space_group_name_H-M_alt 'F -4 3 m'
_space_group_IT_number 216
_space_group_name_Hall 'F -4 2 3'
loop_
_atom_site_label
_atom_site_type_symbol
_atom_site_fract_x
_atom_site_fract_y
_atom_site_fract_z
_atom_site_occupancy
Li1 Li 0.000 0.000 0.000 1
Li2 Li 0.250 0.250 0.250 1
Ga1 Ga 0.000 0.000 0.500 1
Pd1 Pd 0.250 0.250 0.750 1
# V (A^3/atom): 14.2
# Calculated total energy (eV per cell): -56.855

# KAs2Ir2 (PBE, relaxed)
data_KAs2Ir2
_cell_length_a 4.066
_cell_length_b 4.066
_cell_length_c 13.448
_cell_angle_alpha 90.00
_cell_angle_beta 90.00
_cell_angle_gamma 90.00
_space_group_name_H-M_alt 'I 4/m m m'
_space_group_IT_number 139
_space_group_name_Hall '-I 4 2'
loop_
_atom_site_label
_atom_site_type_symbol
_atom_site_fract_x
_atom_site_fract_y
_atom_site_fract_z
_atom_site_occupancy
K1 K 0.000 0.000 0.000 1
As1 As 0.000 0.000 0.355 1
Ir1 Ir 0.000 0.500 0.250 1
# V (A^3/atom): 22.2
# Calculated total energy (eV per cell): -60.787

# K3TlBr6 (PBE, relaxed)
data_K3TlBr6
_cell_length_a 11.784
_cell_length_b 11.784
_cell_length_c 11.784
_cell_angle_alpha 90.00
_cell_angle_beta 90.00
_cell_angle_gamma 90.00
_space_group_name_H-M_alt 'F m -3 m'
_space_group_IT_number 225
_space_group_name_Hall '-F 4 2 3'
loop_
_atom_site_label
_atom_site_type_symbol
_atom_site_fract_x
_atom_site_fract_y
_atom_site_fract_z
_atom_site_occupancy
K1 K 0.000 0.000 0.000 1
K2 K 0.250 0.250 0.250 1
Tl1 Tl 0.000 0.000 0.500 1
Br1 Br 0.000 0.000 0.265 1
# Total magnetic moment (μB/f.u.): 0.0
# V (A^3/atom): 40.9
# Calculated total energy (eV per cell): -109.405

# Li2InPd (PBE, relaxed)
data_Li2InPd
_cell_length_a 6.423
_cell_length_b 6.423
_cell_length_c 6.423
_cell_angle_alpha 90.00
_cell_angle_beta 90.00
_cell_angle_gamma 90.00
_space_group_name_H-M_alt 'F -4 3 m'
_space_group_IT_number 216
_space_group_name_Hall 'F -4 2 3'
loop_
_atom_site_label
_atom_site_type_symbol
_atom_site_fract_x
_atom_site_fract_y
_atom_site_fract_z
_atom_site_occupancy
Li1 Li 0.000 0.000 0.000 1
Li2 Li 0.250 0.250 0.250 1
In1 In 0.250 0.250 0.750 1
Pd1 Pd 0.000 0.000 0.500 1
# V (A^3/atom): 16.6
# Calculated total energy (eV per cell): -54.873

# CaO2 (PBE, relaxed)
data_CaO2
_cell_length_a 3.6930
_cell_length_b 3.6930
_cell_length_c 3.5524
_cell_angle_alpha 90.00
_cell_angle_beta 90.00
_cell_angle_gamma 120.00
_space_group_name_H-M_alt 'P -3 m 1'
_space_group_IT_number 164
_space_group_name_Hall '-P 3 2"'
loop_
_atom_site_label
_atom_site_type_symbol
_atom_site_fract_x
_atom_site_fract_y
_atom_site_fract_z
_atom_site_occupancy
Ca1 Ca 0.0000 0.0000 0.0000 1
O1 O 0.3333 0.6667 0.7158 1
# Total magnetic moment (μB/f.u.): 2.0
# V (A^3/atom): 14.0
# Calculated total energy (eV per cell): -15.664

# SnPNO4 (PBE, relaxed)
data_SnPNO4
_cell_length_a 5.183
_cell_length_b 8.862
_cell_length_c 8.891
_cell_angle_alpha 90.00
_cell_angle_beta 104.44
_cell_angle_gamma 90.00
_space_group_name_H-M_alt 'P 1 21/c 1'
_space_group_IT_number 14
loop_
_space_group_symop_operation_xyz
'x,y,z'
'-x,-y,-z'
'-x,y+1/2,-z+1/2'
'x,-y+1/2,z+1/2'
loop_
_atom_site_label
_atom_site_type_symbol
_atom_site_fract_x
_atom_site_fract_y
_atom_site_fract_z
_atom_site_occupancy
Sn1 Sn 0.199 0.243 0.006 1
P1 P 0.228 0.568 0.305 1
N1 N 0.468 0.551 0.961 1
O1 O 0.086 0.615 0.139 1
O2 O 0.118 0.643 0.433 1
O3 O 0.196 0.109 0.810 1
O4 O 0.470 0.103 0.164 1
# Total magnetic moment (μB/f.u.): 0.0
# V (A^3/atom): 14.1
# Calculated total energy (eV per cell): -191.893

# LaInPt (PBE, relaxed)
data_LaInPt
_cell_length_a 7.7775
_cell_length_b 7.7775
_cell_length_c 4.1891
_cell_angle_alpha 90.00
_cell_angle_beta 90.00
_cell_angle_gamma 120.00
_space_group_name_H-M_alt 'P -6 2 m'
_space_group_IT_number 189
_space_group_name_Hall 'P -6 -2'
loop_
_atom_site_label
_atom_site_type_symbol
_atom_site_fract_x
_atom_site_fract_y
_atom_site_fract_z
_atom_site_occupancy
La1 La 0.0000 0.5856 0.0000 1
In1 In 0.0000 0.2462 0.5000 1
Pt1 Pt 0.0000 0.0000 0.0000 1
Pt2 Pt 0.3333 0.6667 0.5000 1
# V (A^3/atom): 24.4
# Calculated total energy (eV per cell): -50.119

# Rb2Al2B2O7 (PBE, relaxed)
data_Rb2Al2B2O7
_cell_length_a 9.010
_cell_length_b 7.667
_cell_length_c 12.076
_cell_angle_alpha 90.00
_cell_angle_beta 104.06
_cell_angle_gamma 90.00
_space_group_name_H-M_alt 'P 1 21/c 1'
_space_group_IT_number 14
loop_
_space_group_symop_operation_xyz
'x,y,z'
'-x,-y,-z'
'-x,y+1/2,-z+1/2'
'x,-y+1/2,z+1/2'
loop_
_atom_site_label
_atom_site_type_symbol
_atom_site_fract_x
_atom_site_fract_y
_atom_site_fract_z
_atom_site_occupancy
Rb1 Rb 0.035 0.140 0.128 1
Rb2 Rb 0.457 0.633 0.853 1
Al1 Al 0.185 0.583 0.134 1
Al2 Al 0.342 0.123 0.878 1
B1 B 0.156 0.089 0.412 1
B2 B 0.319 0.616 0.562 1
O1 O 0.006 0.042 0.361 1
O2 O 0.203 0.692 0.604 1
O3 O 0.229 0.039 0.521 1
O4 O 0.237 0.180 0.347 1
O5 O 0.282 0.031 0.995 1
O6 O 0.308 0.519 0.262 1
O7 O 0.463 0.688 0.589 1
# Total magnetic moment (μB/f.u.): 0.0
# V (A^3/atom): 15.6
# Calculated total energy (eV per cell): -365.480

# Mg4MnN4 (PBE, relaxed)
data_Mg4MnN4
_cell_length_a 5.387
_cell_length_b 5.409
_cell_length_c 8.131
_cell_angle_alpha 72.42
_cell_angle_beta 85.60
_cell_angle_gamma 69.22
_space_group_name_H-M_alt 'P -1'
_space_group_IT_number 2
loop_
_space_group_symop_operation_xyz
'x,y,z'
'-x,-y,-z'
loop_
_atom_site_label
_atom_site_type_symbol
_atom_site_fract_x
_atom_site_fract_y
_atom_site_fract_z
_atom_site_occupancy
Mg1 Mg 0.233 0.326 0.300 1
Mg2 Mg 0.236 0.555 0.920 1
Mg3 Mg 0.244 0.972 0.090 1
Mg4 Mg 0.248 0.747 0.502 1
Mn1 Mn 0.223 0.107 0.731 1
N1 N 0.003 0.304 0.877 1
N2 N 0.007 0.910 0.698 1
N3 N 0.344 0.314 0.545 1
N4 N 0.489 0.807 0.887 1
# Total magnetic moment (μB/f.u.): 3.0
# V (A^3/atom): 11.7
# Calculated total energy (eV per cell): -108.333

# Ba3Ta2ZnO9 (PBE, relaxed)
data_Ba3Ta2ZnO9
_cell_length_a 5.8522
_cell_length_b 5.8522
_cell_length_c 7.1850
_cell_angle_alpha 90.00
_cell_angle_beta 90.00
_cell_angle_gamma 120.00
_space_group_name_H-M_alt 'P -3 m 1'
_space_group_IT_number 164
_space_group_name_Hall '-P 3 2"'
loop_
_atom_site_label
_atom_site_type_symbol
_atom_site_fract_x
_atom_site_fract_y
_atom_site_fract_z
_atom_site_occupancy
Ba1 Ba 0.0000 0.0000 0.0000 1
Ba2 Ba 0.3333 0.6667 0.6622 1
Ta1 Ta 0.3333 0.6667 0.1750 1
Zn1 Zn 0.0000 0.0000 0.5000 1
O1 O 0.0000 0.5000 0.0000 1
O2 O 0.1728 0.3456 0.3229 1
# Total magnetic moment (μB/f.u.): 0.0
# V (A^3/atom): 14.2
# Calculated total energy (eV per cell): -117.341

# Tb4MgNi (PBE, relaxed)
data_Tb4MgNi
_cell_length_a 13.642
_cell_length_b 13.642
_cell_length_c 13.642
_cell_angle_alpha 90.00
_cell_angle_beta 90.00
_cell_angle_gamma 90.00
_space_group_name_H-M_alt 'F -4 3 m'
_space_group_IT_number 216
_space_group_name_Hall 'F -4 2 3'
loop_
_atom_site_label
_atom_site_type_symbol
_atom_site_fract_x
_atom_site_fract_y
_atom_site_fract_z
_atom_site_occupancy
Tb1 Tb 0.000 0.000 0.184 1
Tb2 Tb 0.062 0.250 0.750 1
Tb3 Tb 0.096 0.096 0.404 1
Mg1 Mg 0.170 0.170 0.170 1
Ni1 Ni 0.109 0.109 0.609 1
# V (A^3/atom): 26.4
# Calculated total energy (eV per cell): -433.435

# LaSI (PBE, relaxed)
data_LaSI
_cell_length_a 7.134
_cell_length_b 14.731
_cell_length_c 7.396
_cell_angle_alpha 90.00
_cell_angle_beta 90.00
_cell_angle_gamma 90.00
_space_group_name_H-M_alt 'P b c a'
_space_group_IT_number 61
loop_
_space_group_symop_operation_xyz
'x,y,z'
'-x,-y,-z'
'-x+1/2,-y,z+1/2'
'x+1/2,y,-z+1/2'
'x+1/2,-y+1/2,-z'
'-x+1/2,y+1/2,z'
'-x,y+1/2,-z+1/2'
'x,-y+1/2,z+1/2'
loop_
_atom_site_label
_atom_site_type_symbol
_atom_site_fract_x
_atom_site_fract_y
_atom_site_fract_z
_atom_site_occupancy
La1 La 0.243 0.084 0.030 1
S1 S 0.001 0.023 0.743 1
I1 I 0.183 0.699 0.406 1
# V (A^3/atom): 32.4
# Calculated total energy (eV per cell): -130.815

# Sn3Se (PBE, relaxed)
data_Sn3Se
_cell_length_a 4.742
_cell_length_b 4.742
_cell_length_c 4.742
_cell_angle_alpha 90.00
_cell_angle_beta 90.00
_cell_angle_gamma 90.00
_space_group_name_H-M_alt 'P m -3 m'
_space_group_IT_number 221
_space_group_name_Hall '-P 4 2 3'
loop_
_atom_site_label
_atom_site_type_symbol
_atom_site_fract_x
_atom_site_fract_y
_atom_site_fract_z
_atom_site_occupancy
Sn1 Sn 0.000 0.000 0.500 1
Se1 Se 0.500 0.500 0.500 1
# Total magnetic moment (μB/f.u.): 0.0
# V (A^3/atom): 26.7
# Calculated total energy (eV per cell): -15.305

# Nd2Ge2Ru (PBE, relaxed)
data_Nd2Ge2Ru
_cell_length_a 11.241
_cell_length_b 4.366
_cell_length_c 10.595
_cell_angle_alpha 90.00
_cell_angle_beta 119.40
_cell_angle_gamma 90.00
_space_group_name_H-M_alt 'C 1 2/m 1'
_space_group_IT_number 12
loop_
_space_group_symop_operation_xyz
'x,y,z'
'-x,-y,-z'
'-x,y,-z'
'x,-y,z'
'x+1/2,y+1/2,z'
'-x+1/2,-y+1/2,-z'
'-x+1/2,y+1/2,-z'
'x+1/2,-y+1/2,z'
loop_
_atom_site_label
_atom_site_type_symbol
_atom_site_fract_x
_atom_site_fract_y
_atom_site_fract_z
_atom_site_occupancy
Nd1 Nd 0.001 0.000 0.328 1
Nd2 Nd 0.185 0.000 0.110 1
Ge1 Ge 0.004 0.500 0.873 1
Ge2 Ge 0.153 0.500 0.568 1
Ru1 Ru 0.226 0.500 0.377 1
# Total magnetic moment (μB/f.u.): 0.0
# V (A^3/atom): 22.7
# Calculated total energy (eV per cell): -126.866